Record 1
Below is a relaxed structure of Ba2LuCu3O6, with properties calculated at the PBE level.

Summary:
Electronic total energy ... -6.100 eV/atom
Energy relative to the elements ... -2.25 eV per atom
Corrected total energy (MP2020 scheme) ... -77.3 eV/cell
Symmetry ... P4/mmm

Cell and atoms, written as POSCAR:
```
Ba2LuCu3O6
1.0
3.8511 0.0000 0.0000
0.0000 3.8511 0.0000
0.0000 0.0000 12.1112
Ba Lu Cu O
2 1 3 6
Direct
0.0000 0.0000 0.1963
0.0000 0.0000 0.8037
0.0000 0.0000 0.5000
0.5000 0.5000 0.0000
0.5000 0.5000 0.3694
0.5000 0.5000 0.6306
0.0000 0.5000 0.3849
0.0000 0.5000 0.6151
0.5000 0.0000 0.3849
0.5000 0.0000 0.6151
0.5000 0.5000 0.1499
0.5000 0.5000 0.8501
```

Record 2
Below is a relaxed structure of Dy5Pt3, with properties calculated at the PBE level.

Summary:
Electronic total energy ... -6.156 eV/atom
Energy relative to the elements ... -1.00 eV per atom
Symmetry ... P6_3/mcm

Cell and atoms, written as POSCAR:
```
Dy5Pt3
1.0
8.4663 0.0000 0.0000
-4.2331 7.3320 0.0000
0.0000 0.0000 6.1968
Dy Pt
10 6
Direct
0.0000 0.2466 0.2500
0.0000 0.7534 0.7500
0.2466 0.0000 0.2500
0.2466 0.2466 0.7500
0.3333 0.6667 0.0000
0.3333 0.6667 0.5000
0.6667 0.3333 0.0000
0.6667 0.3333 0.5000
0.7534 0.0000 0.7500
0.7534 0.7534 0.2500
0.0000 0.3941 0.7500
0.0000 0.6059 0.2500
0.3941 0.0000 0.7500
0.3941 0.3941 0.2500
0.6059 0.0000 0.2500
0.6059 0.6059 0.7500
```